Run 1
This record from Materials Project describes a geometry-optimized Co2NiO4 structure. The functional is GGA+U.

a b c (Å): 5.831 5.880 5.884
angles (deg): 60.31 60.95 60.37
Space group P-1 (No. 2)
Unique sites:
Co 0.000 0.000 0.000 x1
Co 0.000 0.000 0.500 x1
Co 0.000 0.500 0.000 x1
Co 0.500 0.000 0.000 x1
Ni 0.379 0.387 0.361 x2
O 0.208 0.747 0.792 x2
O 0.223 0.279 0.765 x2
O 0.247 0.795 0.217 x2
O 0.249 0.253 0.210 x2

Output
Total moment, μB/atom: 0.143
V, Å³ per cell: 144.4

Run 2
This record from Materials Project describes a geometry-optimized Co2NiO4 structure. The functional is GGA+U.

a b c (Å): 5.714 5.719 5.798
angles (deg): 89.95 60.58 60.07
Space group P-1 (No. 2)
Unique sites:
Co 0.000 0.000 0.000 x1
Co 0.000 0.000 0.500 x1
Co 0.500 0.000 0.000 x1
Co 0.500 0.500 0.000 x1
Ni 0.252 0.375 0.620 x2
O 0.029 0.208 0.233 x2
O 0.029 0.762 0.234 x2
O 0.469 0.766 0.796 x2
O 0.474 0.763 0.235 x2

Output
Total moment, μB/atom: 1.001
V, Å³ per cell: 135.3

Run 3
This record from Materials Project describes a geometry-optimized Co2NiO4 structure. The functional is GGA+U.

a b c (Å): 5.7179 5.7179 14.3347
angles (deg): 90.00 90.00 120.00
Space group R-3m (No. 166, hexagonal axes)
Unique sites:
Co 0.0000 0.0000 0.0000 x3
Co 0.0000 0.5000 0.5000 x9
Ni 0.0000 0.0000 0.3748 x6
O 0.0000 0.0000 0.2333 x6
O 0.0375 0.5187 0.7541 x18

Output
Total moment, μB/atom: 1.000
V, Å³ per cell: 405.9

Most stable structure among those shown: run 1. Next: +12.6 kJ/mol of atoms.